Crystalline Sm6Al43W4 at its relaxed geometry, computed with PBE.

Summary:
* DFT formation energy: -14.734 eV/f.u.

Cell lengths 11.0953, 11.0953, 17.7529 Å; angles 90.00, 90.00, 120.00 degrees
Space group P6_3/mcm (No. 193)
Asymmetric unit:
Sm  0.0000  0.4693  0.0955 x12
Al  0.0000  0.1470  0.7500 x6
Al  0.0000  0.1585  0.1152 x12
Al  0.0000  0.2525  0.5309 x12
Al  0.1474  0.5518  0.2500 x12
Al  0.1583  0.3939  0.6644 x24
Al  0.2469  0.4937  0.0000 x12
Al  0.3333  0.6667  0.1266 x8
W  0.0000  0.0000  0.0000 x2
W  0.0000  0.2700  0.2500 x6

=====

Crystalline SmAlZn at its relaxed geometry, computed with PBE.

Summary:
* DFT formation energy: -1.345 eV/f.u.

Cell lengths 10.535, 4.562, 7.378 Å; angles 90.00, 133.15, 90.00 degrees
Space group C2/m (No. 12)
Asymmetric unit:
Sm  0.035  0.000  0.288 x4
Al  0.163  0.500  0.111 x4
Zn  0.163  0.500  0.715 x4

=====

Crystalline AlSn at its relaxed geometry, computed with PBE.

Summary:
* DFT formation energy: 0.414 eV/f.u.

Cell lengths 4.1981, 4.1981, 3.3068 Å; angles 90.00, 90.00, 120.00 degrees
Space group P-6m2 (No. 187)
Asymmetric unit:
Al  0.0000  0.0000  0.0000 x1
Sn  0.3333  0.6667  0.5000 x1

=====

Crystalline Al3Sn at its relaxed geometry, computed with PBE.

Summary:
* DFT formation energy: 0.633 eV/f.u.

Cell lengths 4.271, 4.271, 4.271 Å; angles 90.00, 90.00, 90.00 degrees
Space group Pm-3m (No. 221)
Asymmetric unit:
Al  0.000  0.000  0.500 x3
Sn  0.500  0.500  0.500 x1

=====

Crystalline Al2Sn at its relaxed geometry, computed with PBE.

Summary:
* DFT formation energy: 0.948 eV/f.u.

Cell lengths 6.708, 6.708, 6.708 Å; angles 90.00, 90.00, 90.00 degrees
Space group Fm-3m (No. 225)
Asymmetric unit:
Al  0.250  0.250  0.250 x8
Sn  0.000  0.000  0.000 x4

=====

Crystalline Al3Sn at its relaxed geometry, computed with PBE.

Summary:
* DFT formation energy: 0.653 eV/f.u.

Cell lengths 4.327, 4.327, 8.356 Å; angles 90.00, 90.00, 90.00 degrees
Space group I4/mmm (No. 139)
Asymmetric unit:
Al  0.000  0.000  0.000 x2
Al  0.000  0.500  0.250 x4
Sn  0.000  0.000  0.500 x2